Record 1
This record from Materials Project describes crystalline Ba8Si43Au3 at its relaxed geometry. The functional is PBE. Values from VASP.

The structure in Quantum ESPRESSO input format:
```
&SYSTEM
  ibrav = 0, nat = 54, ntyp = 3
/
ATOMIC_SPECIES
Ba 137.33 Ba.upf
Si 28.09 Si.upf
Au 196.97 Au.upf
ATOMIC_POSITIONS crystal
Ba 0.0000 0.2384 0.7616
Ba 0.2384 0.7616 0.0000
Ba 0.2387 0.7613 0.5000
Ba 0.2483 0.2483 0.2483
Ba 0.5000 0.2387 0.7613
Ba 0.7517 0.7517 0.7517
Ba 0.7613 0.5000 0.2387
Ba 0.7616 0.0000 0.2384
Si 0.0531 0.8689 0.7485
Si 0.0543 0.6298 0.7483
Si 0.0657 0.0672 0.4360
Si 0.0665 0.0665 0.0665
Si 0.0672 0.4360 0.0657
Si 0.0678 0.4364 0.4368
Si 0.1311 0.9469 0.2515
Si 0.1336 0.5554 0.2519
Si 0.2479 0.5000 0.7521
Si 0.2515 0.1311 0.9469
Si 0.2519 0.1336 0.5554
Si 0.2517 0.3702 0.9457
Si 0.2525 0.3690 0.5575
Si 0.3690 0.5575 0.2525
Si 0.3702 0.9457 0.2517
Si 0.4353 0.4353 0.4353
Si 0.4360 0.0657 0.0672
Si 0.4364 0.4368 0.0678
Si 0.4368 0.0678 0.4364
Si 0.4425 0.6310 0.7475
Si 0.4446 0.8664 0.7481
Si 0.5000 0.7521 0.2479
Si 0.5554 0.2519 0.1336
Si 0.5575 0.2525 0.3690
Si 0.5632 0.5636 0.9322
Si 0.5636 0.9322 0.5632
Si 0.5640 0.9328 0.9343
Si 0.5647 0.5647 0.5647
Si 0.6298 0.7483 0.0543
Si 0.6310 0.7475 0.4425
Si 0.7475 0.4425 0.6310
Si 0.7485 0.0531 0.8689
Si 0.7483 0.0543 0.6298
Si 0.7481 0.4446 0.8664
Si 0.7521 0.2479 0.5000
Si 0.8664 0.7481 0.4446
Si 0.8689 0.7485 0.0531
Si 0.9322 0.5632 0.5636
Si 0.9335 0.9335 0.9335
Si 0.9328 0.9343 0.5640
Si 0.9343 0.5640 0.9328
Si 0.9457 0.2517 0.3702
Si 0.9469 0.2515 0.1311
Au 0.0000 0.7503 0.2497
Au 0.2497 0.0000 0.7503
Au 0.7503 0.2497 0.0000
CELL_PARAMETERS angstrom
7.3940 4.2689 6.0354
-7.3940 4.2689 6.0354
0.0000 -8.5378 6.0354
```

=====

Record 2
This record from Materials Project describes crystalline BeAu3 at its relaxed geometry. The functional is PBE. Values from VASP.

The structure in Quantum ESPRESSO input format:
```
&SYSTEM
  ibrav = 0, nat = 4, ntyp = 2
/
ATOMIC_SPECIES
Be 9.01 Be.upf
Au 196.97 Au.upf
ATOMIC_POSITIONS crystal
Be 0.0000 0.0000 0.0000
Au 0.0000 0.5000 0.5000
Au 0.5000 0.0000 0.5000
Au 0.5000 0.5000 0.0000
CELL_PARAMETERS angstrom
4.0117 0.0000 0.0000
0.0000 4.0117 0.0000
0.0000 0.0000 4.0117
```

=====

Record 3
This record from Materials Project describes crystalline BeAu at its relaxed geometry. The functional is PBE. Values from VASP.

The structure in Quantum ESPRESSO input format:
```
&SYSTEM
  ibrav = 0, nat = 8, ntyp = 2
/
ATOMIC_SPECIES
Be 9.01 Be.upf
Au 196.97 Au.upf
ATOMIC_POSITIONS crystal
Be 0.1535 0.3465 0.6535
Be 0.3465 0.6535 0.1535
Be 0.6535 0.1535 0.3465
Be 0.8465 0.8465 0.8465
Au 0.1551 0.1551 0.1551
Au 0.3449 0.8449 0.6551
Au 0.6551 0.3449 0.8449
Au 0.8449 0.6551 0.3449
CELL_PARAMETERS angstrom
4.7236 0.0000 0.0000
0.0000 4.7236 0.0000
0.0000 0.0000 4.7236
```

=====

Record 4
This record from Materials Project describes crystalline BeAu2 at its relaxed geometry. The functional is PBE. Values from VASP.

The structure in Quantum ESPRESSO input format:
```
&SYSTEM
  ibrav = 0, nat = 3, ntyp = 2
/
ATOMIC_SPECIES
Be 9.01 Be.upf
Au 196.97 Au.upf
ATOMIC_POSITIONS crystal
Be 0.0000 0.0000 0.0000
Au 0.3584 0.3584 0.0000
Au 0.6416 0.6416 0.0000
CELL_PARAMETERS angstrom
-1.4697 1.4697 5.1145
1.4697 -1.4697 5.1145
1.4697 1.4697 -5.1145
```

=====

Record 5
This record from Materials Project describes crystalline Be12Au at its relaxed geometry. The functional is PBE. Values from VASP.

The structure in Quantum ESPRESSO input format:
```
&SYSTEM
  ibrav = 0, nat = 13, ntyp = 2
/
ATOMIC_SPECIES
Be 9.01 Be.upf
Au 196.97 Au.upf
ATOMIC_POSITIONS crystal
Be 0.0000 0.0000 0.5000
Be 0.0000 0.2354 0.2354
Be 0.0000 0.5000 0.0000
Be 0.0000 0.7646 0.7646
Be 0.1488 0.5000 0.6488
Be 0.2354 0.0000 0.2354
Be 0.5000 0.0000 0.0000
Be 0.5000 0.1488 0.6488
Be 0.5000 0.5000 0.5000
Be 0.5000 0.8512 0.3512
Be 0.7646 0.0000 0.7646
Be 0.8512 0.5000 0.3512
Au 0.5000 0.5000 0.0000
CELL_PARAMETERS angstrom
-3.6608 3.6608 2.1427
3.6608 -3.6608 2.1427
3.6608 3.6608 -2.1427
```

=====

Record 6
This record from Materials Project describes crystalline Be5Au at its relaxed geometry. The functional is PBE. Values from VASP.

The structure in Quantum ESPRESSO input format:
```
&SYSTEM
  ibrav = 0, nat = 6, ntyp = 2
/
ATOMIC_SPECIES
Be 9.01 Be.upf
Au 196.97 Au.upf
ATOMIC_POSITIONS crystal
Be 0.0000 0.0000 0.0000
Be 0.3746 0.3746 0.3746
Be 0.3746 0.3746 0.8761
Be 0.3746 0.8761 0.3746
Be 0.8761 0.3746 0.3746
Au 0.7500 0.7500 0.7500
CELL_PARAMETERS angstrom
0.0000 3.0598 3.0598
3.0598 0.0000 3.0598
3.0598 3.0598 0.0000
```

=====

Record 7
This record from Materials Project describes crystalline Be2RhAu at its relaxed geometry. The functional is PBE. Values from VASP.

The structure in Quantum ESPRESSO input format:
```
&SYSTEM
  ibrav = 0, nat = 4, ntyp = 3
/
ATOMIC_SPECIES
Be 9.01 Be.upf
Rh 102.91 Rh.upf
Au 196.97 Au.upf
ATOMIC_POSITIONS crystal
Be 0.2500 0.2500 0.2500
Be 0.7500 0.7500 0.7500
Rh 0.0000 0.0000 0.0000
Au 0.5000 0.5000 0.5000
CELL_PARAMETERS angstrom
0.0000 2.8653 2.8653
2.8653 0.0000 2.8653
2.8653 2.8653 0.0000
```

=====

Record 8
This record from Materials Project describes crystalline BiAu2 at its relaxed geometry. The functional is PBE. Values from VASP.

The structure in Quantum ESPRESSO input format:
```
&SYSTEM
  ibrav = 0, nat = 6, ntyp = 2
/
ATOMIC_SPECIES
Bi 208.98 Bi.upf
Au 196.97 Au.upf
ATOMIC_POSITIONS crystal
Bi 0.1250 0.1250 0.1250
Bi 0.8750 0.8750 0.8750
Au 0.0000 0.5000 0.5000
Au 0.5000 0.0000 0.5000
Au 0.5000 0.5000 0.0000
Au 0.5000 0.5000 0.5000
CELL_PARAMETERS angstrom
0.0000 4.0490 4.0490
4.0490 0.0000 4.0490
4.0490 4.0490 0.0000
```

=====

Record 9
This record from Materials Project describes crystalline Bi4Au at its relaxed geometry. The functional is PBE. Values from VASP.

The structure in Quantum ESPRESSO input format:
```
&SYSTEM
  ibrav = 0, nat = 10, ntyp = 2
/
ATOMIC_SPECIES
Bi 208.98 Bi.upf
Au 196.97 Au.upf
ATOMIC_POSITIONS crystal
Bi 0.1804 0.7732 0.7732
Bi 0.2268 0.2268 0.2268
Bi 0.2268 0.2268 0.8196
Bi 0.2268 0.8196 0.2268
Bi 0.7732 0.1804 0.7732
Bi 0.7732 0.7732 0.1804
Bi 0.7732 0.7732 0.7732
Bi 0.8196 0.2268 0.2268
Au 0.3750 0.3750 0.3750
Au 0.6250 0.6250 0.6250
CELL_PARAMETERS angstrom
0.0000 5.5445 5.5445
5.5445 0.0000 5.5445
5.5445 5.5445 0.0000
```

=====

Record 10
This record from Materials Project describes crystalline BiAuBr6 at its relaxed geometry. The functional is PBE. Values from VASP.

The structure in Quantum ESPRESSO input format:
```
&SYSTEM
  ibrav = 0, nat = 32, ntyp = 3
/
ATOMIC_SPECIES
Bi 208.98 Bi.upf
Au 196.97 Au.upf
Br 79.90 Br.upf
ATOMIC_POSITIONS crystal
Bi 0.0276 0.1859 0.1275
Bi 0.3995 0.5706 0.3804
Bi 0.6005 0.4294 0.6196
Bi 0.9724 0.8141 0.8725
Au 0.0000 0.5000 0.0000
Au 0.2953 0.1293 0.7645
Au 0.5000 0.0000 0.5000
Au 0.7047 0.8707 0.2355
Br 0.0245 0.9683 0.2208
Br 0.0384 0.4469 0.2770
Br 0.2197 0.3984 0.0297
Br 0.2317 0.7771 0.4774
Br 0.2369 0.6986 0.9663
Br 0.2443 0.0648 0.0257
Br 0.2646 0.4514 0.5173
Br 0.2660 0.3402 0.7395
Br 0.3057 0.1297 0.4938
Br 0.3214 0.9146 0.7875
Br 0.3866 0.3137 0.2557
Br 0.3874 0.7713 0.2514
Br 0.6126 0.2287 0.7486
Br 0.6134 0.6863 0.7443
Br 0.6786 0.0854 0.2125
Br 0.6943 0.8703 0.5062
Br 0.7340 0.6598 0.2605
Br 0.7354 0.5486 0.4827
Br 0.7557 0.9352 0.9743
Br 0.7631 0.3014 0.0337
Br 0.7683 0.2229 0.5226
Br 0.7803 0.6016 0.9703
Br 0.9616 0.5531 0.7230
Br 0.9755 0.0317 0.7792
CELL_PARAMETERS angstrom
8.1578 0.0000 0.0000
-4.0001 9.8939 0.0000
-1.5032 -4.5540 14.3754
```

=====

Record 11
This record from Materials Project describes crystalline Bi9AuBr9 at its relaxed geometry. The functional is PBE. Values from VASP.

The structure in Quantum ESPRESSO input format:
```
&SYSTEM
  ibrav = 0, nat = 76, ntyp = 3
/
ATOMIC_SPECIES
Bi 208.98 Bi.upf
Au 196.97 Au.upf
Br 79.90 Br.upf
ATOMIC_POSITIONS crystal
Bi 0.0325 0.1419 0.1925
Bi 0.0325 0.3581 0.6925
Bi 0.0531 0.6433 0.6879
Bi 0.0531 0.8567 0.1879
Bi 0.2243 0.0056 0.2243
Bi 0.2243 0.4944 0.7243
Bi 0.2274 0.0492 0.5266
Bi 0.2274 0.4508 0.0266
Bi 0.3099 0.6478 0.9760
Bi 0.3099 0.8522 0.4760
Bi 0.3315 0.0132 0.0442
Bi 0.3315 0.4868 0.5442
Bi 0.3812 0.5707 0.1710
Bi 0.3812 0.9293 0.6710
Bi 0.4146 0.1850 0.4352
Bi 0.4146 0.3150 0.9352
Bi 0.4472 0.1361 0.6458
Bi 0.4472 0.3639 0.1458
Bi 0.5528 0.6361 0.8542
Bi 0.5528 0.8639 0.3542
Bi 0.5854 0.6850 0.0648
Bi 0.5854 0.8150 0.5648
Bi 0.6188 0.0707 0.3290
Bi 0.6188 0.4293 0.8290
Bi 0.6685 0.5132 0.4558
Bi 0.6685 0.9868 0.9558
Bi 0.6901 0.1478 0.5240
Bi 0.6901 0.3522 0.0240
Bi 0.7726 0.5492 0.9734
Bi 0.7726 0.9508 0.4734
Bi 0.7757 0.5056 0.2757
Bi 0.7757 0.9944 0.7757
Bi 0.9469 0.1433 0.8121
Bi 0.9469 0.3567 0.3121
Bi 0.9675 0.6419 0.3075
Bi 0.9675 0.8581 0.8075
Au 0.3830 0.0057 0.3822
Au 0.3830 0.4943 0.8822
Au 0.6170 0.5057 0.1178
Au 0.6170 0.9943 0.6178
Br 0.0054 0.6289 0.1241
Br 0.0054 0.8711 0.6241
Br 0.0212 0.6326 0.8779
Br 0.0212 0.8674 0.3779
Br 0.1450 0.0038 0.8209
Br 0.1450 0.4962 0.3209
Br 0.1690 0.6481 0.5137
Br 0.1690 0.8519 0.0137
Br 0.1761 0.1650 0.0140
Br 0.1761 0.3350 0.5140
Br 0.2342 0.2483 0.7578
Br 0.2342 0.2517 0.2578
Br 0.2580 0.7453 0.7538
Br 0.2580 0.7547 0.2538
Br 0.4940 0.1110 0.8710
Br 0.4940 0.3890 0.3710
Br 0.4950 0.6303 0.3764
Br 0.4950 0.8697 0.8764
Br 0.5050 0.1303 0.1236
Br 0.5050 0.3697 0.6236
Br 0.5060 0.6110 0.6290
Br 0.5060 0.8890 0.1290
Br 0.7420 0.2453 0.7462
Br 0.7420 0.2547 0.2462
Br 0.7658 0.7483 0.7422
Br 0.7658 0.7517 0.2422
Br 0.8239 0.6650 0.4860
Br 0.8239 0.8350 0.9860
Br 0.8310 0.1481 0.9863
Br 0.8310 0.3519 0.4863
Br 0.8550 0.5038 0.6791
Br 0.8550 0.9962 0.1791
Br 0.9788 0.1326 0.6221
Br 0.9788 0.3674 0.1221
Br 0.9946 0.1289 0.3759
Br 0.9946 0.3711 0.8759
CELL_PARAMETERS angstrom
10.8764 0.0000 0.0000
0.0000 15.5938 0.0000
-0.7918 0.0000 15.0669
```

=====

Record 12
This record from Materials Project describes crystalline K2BiAuBr6 at its relaxed geometry. The functional is PBE. Values from VASP.

The structure in Quantum ESPRESSO input format:
```
&SYSTEM
  ibrav = 0, nat = 10, ntyp = 4
/
ATOMIC_SPECIES
K 39.10 K.upf
Bi 208.98 Bi.upf
Au 196.97 Au.upf
Br 79.90 Br.upf
ATOMIC_POSITIONS crystal
K 0.2500 0.2500 0.2500
K 0.7500 0.7500 0.7500
Bi 0.0000 0.0000 0.0000
Au 0.5000 0.5000 0.5000
Br 0.2533 0.2533 0.7467
Br 0.2533 0.7467 0.2533
Br 0.2533 0.7467 0.7467
Br 0.7467 0.2533 0.2533
Br 0.7467 0.2533 0.7467
Br 0.7467 0.7467 0.2533
CELL_PARAMETERS angstrom
0.0000 5.6731 5.6731
5.6731 0.0000 5.6731
5.6731 5.6731 0.0000
```

=====

| no. | ΔE_f (eV per atom) | total DFT energy (no corrections) (eV per atom) |
| --- | --- | --- |
| 1 | -0.2081 | -4.99 |
| 2 | 0.0800 | -3.31 |
| 3 | -0.1362 | -3.64 |
| 4 | -0.1358 | -3.56 |
| 5 | 0.0750 | -3.63 |
| 6 | -0.0854 | -3.75 |
| 7 | -0.4145 | -4.94 |
| 8 | -0.0473 | -3.53 |
| 9 | 0.2460 | -3.52 |
| 10 | -0.8604 | -2.58 |
| 11 | -0.6925 | -3.23 |
| 12 | -1.2754 | -2.88 |